No. 1
Material: MgMn2V2O7
Method: DFT, GGA+U
State: optimized geometry

Geometry as POSCAR:
```
MgMn2V2O7
1.0
-1.859 2.001 -4.582
5.174 -1.570 -1.907
-3.480 -4.426 0.592
Mg Mn V O
1 2 2 7
direct
0.480 0.294 0.715 Mg
0.033 0.778 0.156 Mn
0.994 0.161 0.834 Mn
0.393 0.771 0.757 V
0.626 0.250 0.251 V
0.767 0.422 0.067 O
0.225 0.932 0.563 O
0.234 0.530 0.871 O
0.741 0.140 0.500 O
0.490 0.506 0.496 O
0.287 0.052 0.062 O
0.728 0.927 0.966 O
```

## Properties
Its energy relative to the elements is -2.34 eV/atom. For the energy above the most stable polymorph in this dataset, the calculation gives 0 meV per atom.

---

No. 2
Material: MgMn2W2O8
Method: DFT, GGA+U
State: optimized geometry

Geometry as POSCAR:
```
MgMn2W2O8
1.0
0.071 4.836 1.831
-5.089 -0.388 0.212
0.402 -2.164 5.699
Mg Mn W O
1 2 2 8
direct
0.500 0.750 0.911 Mg
0.500 0.750 0.366 Mn
0.500 0.250 0.628 Mn
0.000 0.750 0.835 W
0.000 0.250 0.162 W
0.746 0.106 0.366 O
0.254 0.394 0.366 O
0.277 0.888 0.644 O
0.723 0.612 0.644 O
0.781 0.055 0.899 O
0.219 0.445 0.899 O
0.217 0.931 0.093 O
0.783 0.569 0.093 O
```

## Properties
Its energy relative to the elements is -2.10 eV/atom.